1.
A relaxed structure of Np2H2SeO10, computed with PBE.

a = 10.5397 Å, b = 6.0115 Å, c = 13.5405 Å
α = 90.00°, β = 96.32°, γ = 90.00°
Atoms (fractional coordinates):
Np 0.1022 0.2079 0.1875
Np 0.1022 0.2921 0.6875
Np 0.3867 0.7201 0.1727
Np 0.3867 0.7799 0.6727
Np 0.6133 0.2201 0.3273
Np 0.6133 0.2799 0.8273
Np 0.8978 0.7079 0.3125
Np 0.8978 0.7921 0.8125
H 0.0460 0.2078 0.9567
H 0.0460 0.2922 0.4567
H 0.1447 0.0176 0.9840
H 0.1447 0.4824 0.4840
H 0.8553 0.5176 0.5160
H 0.8553 0.9824 0.0160
H 0.9540 0.7078 0.5433
H 0.9540 0.7922 0.0433
Se 0.2416 0.6004 0.9001
Se 0.2416 0.8996 0.4001
Se 0.7584 0.1004 0.5999
Se 0.7584 0.3996 0.0999
O 0.0171 0.5609 0.7060
O 0.0171 0.9391 0.2060
O 0.0956 0.6937 0.9206
O 0.0956 0.8063 0.4206
O 0.1123 0.1577 0.0076
O 0.1123 0.3423 0.5076
O 0.1880 0.0315 0.6701
O 0.1880 0.4685 0.1701
O 0.2238 0.1393 0.3346
O 0.2238 0.3607 0.8346
O 0.2730 0.5428 0.6450
O 0.2730 0.9572 0.1450
O 0.3101 0.7083 0.3329
O 0.3101 0.7917 0.8329
O 0.3265 0.5499 0.0072
O 0.3265 0.9501 0.5072
O 0.4775 0.0352 0.7131
O 0.4775 0.4648 0.2131
O 0.4922 0.1777 0.9041
O 0.4922 0.3223 0.4041
O 0.5078 0.6777 0.5959
O 0.5078 0.8223 0.0959
O 0.5225 0.5352 0.7869
O 0.5225 0.9648 0.2869
O 0.6735 0.0499 0.4928
O 0.6735 0.4501 0.9928
O 0.6899 0.2083 0.1671
O 0.6899 0.2917 0.6671
O 0.7270 0.0428 0.8550
O 0.7270 0.4572 0.3550
O 0.7762 0.6393 0.1654
O 0.7762 0.8607 0.6654
O 0.8120 0.5315 0.8299
O 0.8120 0.9685 0.3299
O 0.8877 0.6577 0.4924
O 0.8877 0.8423 0.9924
O 0.9044 0.1937 0.5794
O 0.9044 0.3063 0.0794
O 0.9829 0.0609 0.7940
O 0.9829 0.4391 0.2940

Calculated values
crystal system: monoclinic

2.
A relaxed structure of CoTc, computed with PBE.

a = 2.6583 Å, b = 2.6583 Å, c = 4.1326 Å
α = 90.00°, β = 90.00°, γ = 120.00°
Atoms (fractional coordinates):
Co 0.0000 0.0000 0.0000
Tc 0.3333 0.6667 0.5000

Calculated values
crystal system: hexagonal

3.
A relaxed structure of Na2RuO3, computed with PBE.

a = 5.4919 Å, b = 5.4919 Å, c = 5.6697 Å
α = 99.41°, β = 99.41°, γ = 120.00°
Atoms (fractional coordinates):
Na 0.0000 0.0000 0.0000
Na 0.1604 0.8396 0.5000
Na 0.5000 0.5000 0.5000
Na 0.8396 0.1604 0.5000
Ru 0.3332 0.6668 0.0000
Ru 0.6668 0.3332 0.0000
O 0.0689 0.4385 0.2036
O 0.2990 0.2990 0.7931
O 0.4385 0.0689 0.2036
O 0.5615 0.9311 0.7964
O 0.7010 0.7010 0.2069
O 0.9311 0.5615 0.7964

Calculated values
crystal system: monoclinic
relative energy among the computed polymorphs: 0.000 eV per formula unit

4.
A relaxed structure of ErCu3Te3, computed with PBE.

a = 12.7974 Å, b = 7.6263 Å, c = 6.9431 Å
α = 90.00°, β = 90.00°, γ = 90.00°
Atoms (fractional coordinates):
Er 0.1630 0.2491 0.0000
Er 0.3370 0.7509 0.5000
Er 0.6630 0.7509 0.5000
Er 0.8370 0.2491 0.0000
Cu 0.0000 0.1161 0.3882
Cu 0.0000 0.3821 0.6360
Cu 0.1666 0.6165 0.1293
Cu 0.1788 0.8774 0.8788
Cu 0.3212 0.1226 0.3788
Cu 0.3334 0.3835 0.6293
Cu 0.5000 0.6179 0.1360
Cu 0.5000 0.8839 0.8882
Cu 0.6666 0.3835 0.6293
Cu 0.6788 0.1226 0.3788
Cu 0.8212 0.8774 0.8788
Cu 0.8334 0.6165 0.1293
Te 0.0000 0.0509 0.7592
Te 0.0000 0.4408 0.2532
Te 0.1618 0.9328 0.2653
Te 0.1656 0.5643 0.7386
Te 0.3344 0.4357 0.2386
Te 0.3382 0.0672 0.7653
Te 0.5000 0.5592 0.7532
Te 0.5000 0.9491 0.2592
Te 0.6618 0.0672 0.7653
Te 0.6656 0.4357 0.2386
Te 0.8344 0.5643 0.7386
Te 0.8382 0.9328 0.2653

Calculated values
crystal system: orthorhombic
relative energy among the computed polymorphs: 0.030 eV per formula unit
piezoelectric modulus e_max: 0.06 C/m2

5.
A relaxed structure of Ti3GeC2, computed with PBE.

a = 3.0959 Å, b = 3.0959 Å, c = 17.9040 Å
α = 90.00°, β = 90.00°, γ = 120.00°
Atoms (fractional coordinates):
Ti 0.0000 0.0000 0.0000
Ti 0.0000 0.0000 0.5000
Ti 0.3333 0.6667 0.1325
Ti 0.3333 0.6667 0.3675
Ti 0.6667 0.3333 0.6325
Ti 0.6667 0.3333 0.8675
Ge 0.0000 0.0000 0.2500
Ge 0.0000 0.0000 0.7500
C 0.3333 0.6667 0.5717
C 0.3333 0.6667 0.9283
C 0.6667 0.3333 0.0717
C 0.6667 0.3333 0.4283

Calculated values
crystal system: hexagonal

6.
A relaxed structure of LiNbP4O12, computed with PBE.

a = 7.5881 Å, b = 8.7243 Å, c = 15.9603 Å
α = 90.00°, β = 112.15°, γ = 90.00°
Atoms (fractional coordinates):
Li 0.1327 0.0838 0.0733
Li 0.1327 0.4162 0.5733
Li 0.8673 0.5838 0.4267
Li 0.8673 0.9162 0.9267
Nb 0.3113 0.6584 0.8539
Nb 0.3113 0.8416 0.3539
Nb 0.6887 0.1584 0.6461
Nb 0.6887 0.3416 0.1461
P 0.1067 0.0306 0.8104
P 0.1067 0.4694 0.3104
P 0.2336 0.7355 0.0481
P 0.2336 0.7645 0.5481
P 0.3523 0.5507 0.2163
P 0.3523 0.9493 0.7163
P 0.3653 0.2276 0.4297
P 0.3653 0.2724 0.9297
P 0.6347 0.7276 0.0703
P 0.6347 0.7724 0.5703
P 0.6477 0.0507 0.2837
P 0.6477 0.4493 0.7837
P 0.7664 0.2355 0.4519
P 0.7664 0.2645 0.9519
P 0.8933 0.5306 0.6896
P 0.8933 0.9694 0.1896
O 0.0838 0.6061 0.7237
O 0.0838 0.8939 0.2237
O 0.1130 0.6232 0.5365
O 0.1130 0.8768 0.0365
O 0.1151 0.6355 0.3372
O 0.1151 0.8645 0.8372
O 0.1988 0.6404 0.9650
O 0.1988 0.8596 0.4650
O 0.2060 0.0621 0.7383
O 0.2060 0.4379 0.2383
O 0.2062 0.6322 0.1260
O 0.2062 0.8678 0.6260
O 0.2397 0.1197 0.9006
O 0.2397 0.3803 0.4006
O 0.2692 0.0946 0.3713
O 0.2692 0.4054 0.8713
O 0.4218 0.2178 0.5305
O 0.4218 0.2822 0.0305
O 0.4321 0.6625 0.2937
O 0.4321 0.8375 0.7937
O 0.4542 0.7151 0.5941
O 0.4542 0.7849 0.0941
O 0.4932 0.0430 0.6954
O 0.4932 0.4570 0.1954
O 0.5068 0.5430 0.8046
O 0.5068 0.9570 0.3046
O 0.5458 0.2151 0.9059
O 0.5458 0.2849 0.4059
O 0.5679 0.1625 0.2063
O 0.5679 0.3375 0.7063
O 0.5782 0.7178 0.9695
O 0.5782 0.7822 0.4695
O 0.7308 0.5946 0.1287
O 0.7308 0.9054 0.6287
O 0.7603 0.6197 0.5994
O 0.7603 0.8803 0.0994
O 0.7938 0.1322 0.3740
O 0.7938 0.3678 0.8740
O 0.7940 0.5621 0.7617
O 0.7940 0.9379 0.2617
O 0.8012 0.1404 0.5350
O 0.8012 0.3596 0.0350
O 0.8849 0.1355 0.1628
O 0.8849 0.3645 0.6628
O 0.8870 0.1232 0.9635
O 0.8870 0.3768 0.4635
O 0.9162 0.1061 0.7763
O 0.9162 0.3939 0.2763

Calculated values
crystal system: monoclinic
relative energy among the computed polymorphs: 0.730 eV per formula unit

7.
A relaxed structure of Pr2MgCuO4, computed with PBE.

a = 3.4361 Å, b = 3.4361 Å, c = 20.8430 Å
α = 90.00°, β = 90.00°, γ = 90.00°
Atoms (fractional coordinates):
Pr 0.0000 0.0000 0.1190
Pr 0.0000 0.0000 0.8810
Pr 0.5000 0.5000 0.3810
Pr 0.5000 0.5000 0.6190
Mg 0.0000 0.5000 0.2500
Mg 0.5000 0.0000 0.7500
Cu 0.0000 0.0000 0.5000
Cu 0.5000 0.5000 0.0000
O 0.0000 0.0000 0.3081
O 0.0000 0.0000 0.6919
O 0.0000 0.5000 0.5512
O 0.0000 0.5000 0.9488
O 0.5000 0.0000 0.0512
O 0.5000 0.0000 0.4488
O 0.5000 0.5000 0.1919
O 0.5000 0.5000 0.8081

Calculated values
crystal system: tetragonal
relative energy among the computed polymorphs: 0.507 eV per formula unit

8.
A relaxed structure of Hg2SeO4, computed with PBE.

a = 6.4287 Å, b = 4.8460 Å, c = 8.8658 Å
α = 90.00°, β = 92.26°, γ = 90.00°
Atoms (fractional coordinates):
Hg 0.1903 0.0723 0.4782
Hg 0.1903 0.9277 0.9782
Hg 0.8097 0.0723 0.0218
Hg 0.8097 0.9277 0.5218
Se 0.5000 0.4430 0.2500
Se 0.5000 0.5570 0.7500
O 0.2800 0.3794 0.7361
O 0.2800 0.6206 0.2361
O 0.4946 0.2287 0.4044
O 0.4946 0.7713 0.9044
O 0.5054 0.2287 0.0956
O 0.5054 0.7713 0.5956
O 0.7200 0.3794 0.7639
O 0.7200 0.6206 0.2639

Calculated values
crystal system: monoclinic

9.
A relaxed structure of Na2Mg2Ti2SiS5O24, computed with PBE.

a = 8.6415 Å, b = 8.6531 Å, c = 22.5764 Å
α = 89.94°, β = 89.97°, γ = 60.10°
Atoms (fractional coordinates):
Na 0.0000 0.0000 0.0000
Na 0.0014 0.9957 0.4985
Na 0.3298 0.3401 0.6616
Na 0.3427 0.3324 0.1709
Na 0.6590 0.6731 0.8335
Na 0.6647 0.6662 0.3348
Mg 0.0023 0.9919 0.6450
Mg 0.3308 0.3366 0.5149
Mg 0.3359 0.3355 0.3134
Mg 0.6608 0.6713 0.9784
Mg 0.6665 0.6664 0.4781
Mg 0.9982 0.9994 0.1471
Ti 0.0247 0.9887 0.8508
Ti 0.3305 0.3191 0.0186
Ti 0.3394 0.3268 0.8103
Ti 0.6529 0.6689 0.6814
Ti 0.6645 0.6580 0.1902
Ti 0.9869 0.0169 0.3507
Si 0.2912 0.7060 0.7449
Si 0.3393 0.0369 0.9133
Si 0.7022 0.2828 0.2447
S 0.0010 0.7103 0.2471
S 0.0425 0.3344 0.4143
S 0.0456 0.6191 0.9145
S 0.2864 0.0027 0.2472
S 0.3317 0.6268 0.4145
S 0.3733 0.9594 0.5798
S 0.3750 0.6670 0.0809
S 0.6216 0.3310 0.9148
S 0.6229 0.0406 0.4147
S 0.6674 0.3735 0.5804
S 0.6704 0.9532 0.0805
S 0.7134 0.9979 0.7479
S 0.9530 0.3775 0.0803
S 0.9545 0.6669 0.5810
S 0.9989 0.2899 0.7474
O 0.0242 0.8017 0.9080
O 0.0274 0.1652 0.4075
O 0.0297 0.1830 0.6947
O 0.0305 0.7855 0.1935
O 0.1226 0.3582 0.3604
O 0.1304 0.5125 0.8610
O 0.1321 0.5042 0.5777
O 0.1359 0.3660 0.0747
O 0.1480 0.0359 0.9072
O 0.1493 0.5303 0.2557
O 0.1501 0.2995 0.4678
O 0.1587 0.5415 0.9685
O 0.1597 0.3104 0.7562
O 0.1684 0.8088 0.4064
O 0.1697 0.7904 0.6899
O 0.1859 0.0232 0.1933
O 0.1971 0.8236 0.0887
O 0.1973 0.9774 0.5881
O 0.2006 0.8325 0.8061
O 0.2108 0.9637 0.3012
O 0.2996 0.5506 0.4682
O 0.3014 0.1726 0.9716
O 0.3086 0.1569 0.2557
O 0.3191 0.5092 0.7613
O 0.3532 0.1490 0.8574
O 0.3585 0.5189 0.3614
O 0.3594 0.5025 0.0747
O 0.3643 0.1336 0.5774
O 0.4566 0.6928 0.0280
O 0.4587 0.8469 0.5283
O 0.4706 0.8371 0.2405
O 0.4891 0.6375 0.1350
O 0.4892 0.8675 0.6351
O 0.4904 0.6485 0.4210
O 0.4932 0.6850 0.7389
O 0.5030 0.1396 0.0734
O 0.5039 0.3614 0.5777
O 0.5056 0.3226 0.2552
O 0.5084 0.8462 0.9186
O 0.5099 0.3615 0.8609
O 0.5170 0.1205 0.3611
O 0.5295 0.1584 0.7559
O 0.5346 0.3056 0.9684
O 0.5513 0.1490 0.4681
O 0.6336 0.8787 0.1341
O 0.6409 0.4904 0.6356
O 0.6423 0.4879 0.9211
O 0.6492 0.8598 0.4210
O 0.6914 0.8499 0.0271
O 0.6921 0.8378 0.7420
O 0.6936 0.4853 0.2380
O 0.6945 0.4575 0.5285
O 0.7832 0.0352 0.6947
O 0.7960 0.1668 0.9077
O 0.7984 0.1743 0.1880
O 0.8096 0.0194 0.4067
O 0.8192 0.9734 0.8023
O 0.8250 0.9783 0.0859
O 0.8270 0.1996 0.5902
O 0.8310 0.6990 0.2399
O 0.8374 0.1950 0.3051
O 0.8402 0.4713 0.7423
O 0.8462 0.6909 0.5283
O 0.8489 0.4593 0.0270
O 0.8610 0.4878 0.4203
O 0.8649 0.6426 0.6357
O 0.8703 0.6347 0.9211
O 0.8740 0.4897 0.1341
O 0.9681 0.2092 0.8019
O 0.9676 0.8231 0.3009
O 0.9690 0.8284 0.5873
O 0.9842 0.1962 0.0863

Calculated values
crystal system: triclinic

10.
A relaxed structure of Li5Ce5Si4N12, computed with PBE.

a = 10.9237 Å, b = 10.9237 Å, c = 5.5579 Å
α = 90.00°, β = 90.00°, γ = 90.00°
Atoms (fractional coordinates):
Li 0.0000 0.5000 0.0000
Li 0.1119 0.2926 0.1477
Li 0.2074 0.3881 0.8523
Li 0.2926 0.8881 0.8523
Li 0.3881 0.7926 0.1477
Li 0.5000 0.0000 0.0000
Li 0.6119 0.2074 0.1477
Li 0.7074 0.1119 0.8523
Li 0.7926 0.6119 0.8523
Li 0.8881 0.7074 0.1477
Ce 0.0000 0.5000 0.5000
Ce 0.1172 0.8794 0.2707
Ce 0.1206 0.1172 0.7293
Ce 0.3794 0.6172 0.7293
Ce 0.3828 0.3794 0.2707
Ce 0.5000 0.0000 0.5000
Ce 0.6172 0.6206 0.2707
Ce 0.6206 0.3828 0.7293
Ce 0.8794 0.8828 0.7293
Ce 0.8828 0.1206 0.2707
Si 0.1097 0.7333 0.7622
Si 0.2333 0.6097 0.2378
Si 0.2667 0.1097 0.2378
Si 0.3903 0.2333 0.7622
Si 0.6097 0.7667 0.7622
Si 0.7333 0.8903 0.2378
Si 0.7667 0.3903 0.2378
Si 0.8903 0.2667 0.7622
N 0.0326 0.3338 0.7959
N 0.1036 0.8948 0.7369
N 0.1052 0.1036 0.2631
N 0.1662 0.4674 0.2041
N 0.1760 0.6760 0.5000
N 0.2139 0.7139 0.0000
N 0.2861 0.2139 0.0000
N 0.3240 0.1760 0.5000
N 0.3338 0.9674 0.2041
N 0.3948 0.6036 0.2631
N 0.3964 0.3948 0.7369
N 0.4674 0.8338 0.7959
N 0.5326 0.1662 0.7959
N 0.6036 0.6052 0.7369
N 0.6052 0.3964 0.2631
N 0.6662 0.0326 0.2041
N 0.6760 0.8240 0.5000
N 0.7139 0.7861 0.0000
N 0.7861 0.2861 0.0000
N 0.8240 0.3240 0.5000
N 0.8338 0.5326 0.2041
N 0.8948 0.8964 0.2631
N 0.8964 0.1052 0.7369
N 0.9674 0.6662 0.7959

Calculated values
crystal system: tetragonal

Final energy? In order: -7.45, -8.64, -5.77, -4.29, -8.63, -7.27, -6.37, -3.94, -6.64, -7.35 eV per atom.